(1)
Here is an optimized crystal structure of LiSmO3 from the Materials Project. Energies are from PBE.

Spin magnetization: 2.00 μB/f.u.
Energy: -30.9 eV per cell

Cell: 3.7348 3.7348 3.7348 Å, 90.00 90.00 90.00°
Last column: nearest neighbours and their distance in Å.
Sites, in units of the cell vectors:
Li  0.5000  0.5000  0.5000  6 O 1.87
Sm  0.0000  0.0000  0.0000  12 O 2.64
O  0.5000  0.5000  0.0000  2 Li 1.87
O  0.5000  0.0000  0.5000  2 Li 1.87
O  0.0000  0.5000  0.5000  2 Li 1.87



(2)
Here is an optimized crystal structure of LiSmO2 from the Materials Project. Energies are from PBE.

Energy: -111.4 eV per cell

Cell: 6.0450 5.7298 5.7401 Å, 77.21 90.00 90.00°
Last column: nearest neighbours and their distance in Å.
Sites, in units of the cell vectors:
Li  0.3620  0.6768  0.3350  3 O 1.91-2.10
Li  0.6380  0.3232  0.6650  3 O 1.91-2.10
Li  0.1380  0.1768  0.3350  3 O 1.91-2.10
Li  0.8620  0.8232  0.6650  3 O 1.91-2.10
Sm  0.5710  0.1953  0.2021  7 O 2.35-2.52
Sm  0.0710  0.3047  0.7979  7 O 2.35-2.52
Sm  0.4290  0.8047  0.7979  7 O 2.35-2.52
Sm  0.9290  0.6953  0.2021  7 O 2.35-2.52
O  0.8650  0.2977  0.4283  2 Li 1.91-1.96
O  0.6350  0.7977  0.4283  2 Li 1.91-1.96
O  0.3650  0.2023  0.5717  2 Li 1.91-1.96
O  0.1350  0.7023  0.5717  2 Li 1.91-1.96
O  0.7388  0.5168  0.9162  2 Li 2.10-2.14
O  0.2388  0.9832  0.0838  2 Li 2.10-2.14
O  0.2612  0.4832  0.0838  2 Li 2.10-2.14
O  0.7612  0.0168  0.9162  2 Li 2.10-2.14



(3)
Here is an optimized crystal structure of Li3Sm3Te2O12 from the Materials Project. Energies are from PBE.

Spin magnetization: 0.00 μB/f.u.
Energy: -528.7 eV per cell

Cell: 10.9147 10.9147 10.9147 Å, 109.47 109.47 109.47°
Last column: nearest neighbours and their distance in Å.
Sites, in units of the cell vectors:
Li  0.2500  0.6250  0.3750  4 O 1.93
Li  0.7500  0.3750  0.6250  4 O 1.93
Li  0.7500  0.8750  0.1250  4 O 1.93
Li  0.3750  0.2500  0.6250  4 O 1.93
Li  0.6250  0.7500  0.3750  4 O 1.93
Li  0.2500  0.1250  0.8750  4 O 1.93
Li  0.1250  0.7500  0.8750  4 O 1.93
Li  0.8750  0.2500  0.1250  4 O 1.93
Li  0.6250  0.3750  0.2500  4 O 1.93
Li  0.3750  0.6250  0.7500  4 O 1.93
Li  0.8750  0.1250  0.7500  4 O 1.93
Li  0.1250  0.8750  0.2500  4 O 1.93
Sm  0.2500  0.3750  0.1250  8 O 2.42-2.54
Sm  0.7500  0.6250  0.8750  8 O 2.42-2.54
Sm  0.7500  0.1250  0.3750  8 O 2.42-2.54
Sm  0.1250  0.2500  0.3750  8 O 2.42-2.54
Sm  0.3750  0.7500  0.1250  8 O 2.42-2.54
Sm  0.2500  0.8750  0.6250  8 O 2.42-2.54
Sm  0.8750  0.7500  0.6250  8 O 2.42-2.54
Sm  0.6250  0.2500  0.8750  8 O 2.42-2.54
Sm  0.3750  0.1250  0.2500  8 O 2.42-2.54
Sm  0.6250  0.8750  0.7500  8 O 2.42-2.54
Sm  0.1250  0.3750  0.7500  8 O 2.42-2.54
Sm  0.8750  0.6250  0.2500  8 O 2.42-2.54
Te  0.0000  0.0000  0.0000  6 O 1.96
Te  0.5000  0.0000  0.5000  6 O 1.96
Te  0.0000  0.5000  0.5000  6 O 1.96
Te  0.5000  0.0000  0.0000  6 O 1.96
Te  0.5000  0.5000  0.0000  6 O 1.96
Te  0.5000  0.5000  0.5000  6 O 1.96
Te  0.0000  0.0000  0.5000  6 O 1.96
Te  0.0000  0.5000  0.0000  6 O 1.96
O  0.4754  0.3821  0.3042  1 Li 1.93, 1 Te 1.96
O  0.5246  0.6179  0.6958  1 Li 1.93, 1 Te 1.96
O  0.5780  0.1712  0.1958  1 Li 1.93, 1 Te 1.96
O  0.9220  0.1179  0.5932  1 Li 1.93, 1 Te 1.96
O  0.3042  0.4754  0.3821  1 Li 1.93, 1 Te 1.96
O  0.3288  0.9220  0.3042  1 Li 1.93, 1 Te 1.96
O  0.4220  0.8288  0.8042  1 Li 1.93, 1 Te 1.96
O  0.0780  0.8821  0.4068  1 Li 1.93, 1 Te 1.96
O  0.6958  0.5246  0.6179  1 Li 1.93, 1 Te 1.96
O  0.6712  0.0780  0.6958  1 Li 1.93, 1 Te 1.96
O  0.0246  0.3288  0.9068  1 Li 1.93, 1 Te 1.96
O  0.1958  0.5780  0.1712  1 Li 1.93, 1 Te 1.96
O  0.1179  0.0246  0.1958  1 Li 1.93, 1 Te 1.96
O  0.9754  0.6712  0.0932  1 Li 1.93, 1 Te 1.96
O  0.8042  0.4220  0.8288  1 Li 1.93, 1 Te 1.96
O  0.8821  0.9754  0.8042  1 Li 1.93, 1 Te 1.96
O  0.5932  0.9220  0.1179  1 Li 1.93, 1 Te 1.96
O  0.1712  0.4754  0.5932  1 Li 1.93, 1 Te 1.96
O  0.4068  0.0780  0.8821  1 Li 1.93, 1 Te 1.96
O  0.8288  0.5246  0.4068  1 Li 1.93, 1 Te 1.96
O  0.9068  0.0246  0.3288  1 Li 1.93, 1 Te 1.96
O  0.3821  0.5780  0.9068  1 Li 1.93, 1 Te 1.96
O  0.0932  0.9754  0.6712  1 Li 1.93, 1 Te 1.96
O  0.6179  0.4220  0.0932  1 Li 1.93, 1 Te 1.96
O  0.3821  0.3042  0.4754  1 Li 1.93, 1 Te 1.96
O  0.5780  0.9068  0.3821  1 Li 1.93, 1 Te 1.96
O  0.6179  0.6958  0.5246  1 Li 1.93, 1 Te 1.96
O  0.4220  0.0932  0.6179  1 Li 1.93, 1 Te 1.96
O  0.1179  0.5932  0.9220  1 Li 1.93, 1 Te 1.96
O  0.0246  0.1958  0.1179  1 Li 1.93, 1 Te 1.96
O  0.8821  0.4068  0.0780  1 Li 1.93, 1 Te 1.96
O  0.9754  0.8042  0.8821  1 Li 1.93, 1 Te 1.96
O  0.3288  0.9068  0.0246  1 Li 1.93, 1 Te 1.96
O  0.9220  0.3042  0.3288  1 Li 1.93, 1 Te 1.96
O  0.6712  0.0932  0.9754  1 Li 1.93, 1 Te 1.96
O  0.0780  0.6958  0.6712  1 Li 1.93, 1 Te 1.96
O  0.1712  0.1958  0.5780  1 Li 1.93, 1 Te 1.96
O  0.4754  0.5932  0.1712  1 Li 1.93, 1 Te 1.96
O  0.8288  0.8042  0.4220  1 Li 1.93, 1 Te 1.96
O  0.5246  0.4068  0.8288  1 Li 1.93, 1 Te 1.96
O  0.3042  0.3288  0.9220  1 Li 1.93, 1 Te 1.96
O  0.6958  0.6712  0.0780  1 Li 1.93, 1 Te 1.96
O  0.1958  0.1179  0.0246  1 Li 1.93, 1 Te 1.96
O  0.8042  0.8821  0.9754  1 Li 1.93, 1 Te 1.96
O  0.9068  0.3821  0.5780  1 Li 1.93, 1 Te 1.96
O  0.0932  0.6179  0.4220  1 Li 1.93, 1 Te 1.96
O  0.5932  0.1712  0.4754  1 Li 1.93, 1 Te 1.96
O  0.4068  0.8288  0.5246  1 Li 1.93, 1 Te 1.96



(4)
Here is an optimized crystal structure of Li2SnO6 from the Materials Project. Energies are from PBE.

Spin magnetization: 6.00 μB/f.u.
Energy: -84.5 eV per cell

Cell: 5.7392 3.7120 10.4408 Å, 72.92 90.00 90.00°
Last column: nearest neighbours and their distance in Å.
Sites, in units of the cell vectors:
Li  0.4978  0.4879  0.1491  4 O 1.98-2.18
Li  0.0022  0.4879  0.6491  4 O 1.98-2.18
Li  0.5022  0.5121  0.8509  4 O 1.98-2.18
Li  0.9978  0.5121  0.3509  4 O 1.98-2.18
Sn  0.5000  0.0000  0.5000  6 O 2.08-2.12
Sn  0.0000  0.0000  0.0000  6 O 2.08-2.12
O  0.5997  0.4607  0.3368  1 Li 2.02, 1 Sn 2.11, 2 O 2.20-2.22
O  0.9003  0.4607  0.8368  1 Li 2.02, 1 Sn 2.11, 2 O 2.20-2.22
O  0.4003  0.5393  0.6632  1 Li 2.02, 1 Sn 2.11, 2 O 2.20-2.22
O  0.0997  0.5393  0.1632  1 Li 2.02, 1 Sn 2.11, 2 O 2.20-2.22
O  0.8008  0.7264  0.4665  2 Li 1.98-2.18, 1 Sn 2.08, 1 O 2.22
O  0.6992  0.7264  0.9665  2 Li 1.98-2.18, 1 Sn 2.08, 1 O 2.22
O  0.1992  0.2736  0.5335  2 Li 1.98-2.18, 1 Sn 2.08, 1 O 2.22
O  0.3008  0.2736  0.0335  2 Li 1.98-2.18, 1 Sn 2.08, 1 O 2.22
O  0.2970  0.7853  0.3697  1 Li 2.03, 1 Sn 2.12, 2 O 2.20-2.22
O  0.2030  0.7853  0.8697  1 Li 2.03, 1 Sn 2.12, 2 O 2.20-2.22
O  0.7030  0.2147  0.6303  1 Li 2.03, 1 Sn 2.12, 2 O 2.20-2.22
O  0.7970  0.2147  0.1303  1 Li 2.03, 1 Sn 2.12, 2 O 2.20-2.22



(5)
Here is an optimized crystal structure of Li2ZnSn3O8 from the Materials Project. Energies are from PBE.

Energy: -486.3 eV per cell

Cell: 10.6748 10.6748 10.0552 Å, 90.00 90.00 120.05°
Last column: nearest neighbours and their distance in Å.
Sites, in units of the cell vectors:
Li  0.3351  0.6971  0.7201  3 O 1.83-1.95
Li  0.3340  0.8337  0.4916  6 O 2.03-2.23
Li  0.6649  0.3029  0.2201  3 O 1.83-1.95
Li  0.8337  0.3340  0.4916  6 O 2.03-2.23
Li  0.1660  0.1660  0.9897  6 O 2.02-2.21
Li  0.3029  0.6649  0.2201  3 O 1.83-1.95
Li  0.6660  0.1663  0.9916  6 O 2.03-2.23
Li  0.1663  0.6660  0.9916  6 O 2.03-2.23
Li  0.9783  0.9783  0.7161  3 O 1.84-1.96
Li  0.6971  0.3351  0.7201  3 O 1.83-1.95
Li  0.0217  0.0217  0.2161  3 O 1.84-1.96
Li  0.8340  0.8340  0.4897  6 O 2.02-2.21
Zn  0.6666  0.0004  0.3053  4 O 2.00-2.03
Zn  0.9996  0.3334  0.8053  4 O 2.00-2.03
Zn  0.6666  0.6666  0.8092  4 O 2.03-2.05
Zn  0.3334  0.3334  0.3092  4 O 2.03-2.05
Zn  0.3334  0.9996  0.8053  4 O 2.00-2.03
Zn  0.0004  0.6666  0.3053  4 O 2.00-2.03
Sn  0.1613  0.5060  0.4978  6 O 2.03-2.21
Sn  0.1591  0.9845  0.4964  6 O 2.03-2.20
Sn  0.5084  0.6812  0.4963  6 O 2.03-2.21
Sn  0.9845  0.1591  0.4964  6 O 2.03-2.20
Sn  0.6812  0.5084  0.4963  6 O 2.03-2.21
Sn  0.5060  0.1613  0.4978  6 O 2.03-2.21
Sn  0.3188  0.4916  0.9963  6 O 2.03-2.21
Sn  0.0038  0.6669  0.7170  6 O 2.04-2.26
Sn  0.6707  0.6707  0.2158  6 O 2.10-2.23
Sn  0.8387  0.4940  0.9978  6 O 2.03-2.21
Sn  0.0155  0.8409  0.9964  6 O 2.03-2.20
Sn  0.6669  0.0038  0.7170  6 O 2.04-2.26
Sn  0.9962  0.3331  0.2170  6 O 2.04-2.26
Sn  0.3331  0.9962  0.2170  6 O 2.04-2.26
Sn  0.4940  0.8387  0.9978  6 O 2.03-2.21
Sn  0.3293  0.3293  0.7158  6 O 2.10-2.23
Sn  0.4916  0.3188  0.9963  6 O 2.03-2.21
Sn  0.8409  0.0155  0.9964  6 O 2.03-2.20
O  0.4968  0.1677  0.1163  1 Li 1.95, 2 Sn 2.04-2.06
O  0.3353  0.6657  0.8994  2 Li 1.83-2.03, 2 Sn 2.03
O  0.8330  0.0004  0.6155  2 Li 1.96-2.19, 2 Sn 2.04-2.06
O  0.8323  0.5032  0.6163  1 Li 1.95, 2 Sn 2.04-2.06
O  0.8420  0.8420  0.1124  3 Sn 2.10-2.19, 1 Li 2.18
O  0.6632  0.6632  0.6070  1 Zn 2.03, 2 Sn 2.08, 1 Li 2.17
O  0.3368  0.3368  0.1070  1 Zn 2.03, 2 Sn 2.08, 1 Li 2.17
O  0.6647  0.1691  0.6172  1 Li 1.93, 2 Sn 2.04
O  0.3314  0.1503  0.3706  1 Zn 2.04, 3 Sn 2.20-2.26
O  0.5178  0.5178  0.3676  1 Zn 2.05, 3 Sn 2.21-2.23
O  0.6669  0.9969  0.1034  1 Zn 2.03, 2 Sn 2.06-2.07, 1 Li 2.13
O  0.6657  0.3353  0.8994  2 Li 1.83-2.03, 2 Sn 2.03
O  0.1691  0.6647  0.6172  1 Li 1.93, 2 Sn 2.04
O  0.8497  0.6686  0.8706  1 Zn 2.04, 3 Sn 2.20-2.26
O  0.1670  0.9996  0.1155  2 Li 1.96-2.19, 2 Sn 2.04-2.06
O  0.9969  0.6669  0.1034  1 Zn 2.03, 2 Sn 2.06-2.07, 1 Li 2.13
O  0.3343  0.6647  0.3994  2 Li 1.83-2.03, 2 Sn 2.03
O  0.6647  0.3343  0.3994  2 Li 1.83-2.03, 2 Sn 2.03
O  0.9896  0.5089  0.8584  1 Zn 2.00, 2 Sn 2.08-2.15, 1 Li 2.23
O  0.5089  0.9896  0.8584  1 Zn 2.00, 2 Sn 2.08-2.15, 1 Li 2.23
O  0.8208  0.1507  0.8596  1 Zn 2.00, 2 Sn 2.08-2.15, 1 Li 2.19
O  0.0004  0.8330  0.6155  2 Li 1.96-2.19, 2 Sn 2.04-2.06
O  0.4822  0.4822  0.8676  1 Zn 2.05, 3 Sn 2.21-2.23
O  0.1792  0.8493  0.3596  1 Zn 2.00, 2 Sn 2.08-2.15, 1 Li 2.19
O  0.6611  0.8154  0.3563  1 Zn 2.01, 2 Sn 2.09-2.13, 1 Li 2.21
O  0.1503  0.3314  0.3706  1 Zn 2.04, 3 Sn 2.20-2.26
O  0.3331  0.0031  0.6034  1 Zn 2.03, 2 Sn 2.06-2.07, 1 Li 2.13
O  0.4956  0.6645  0.1099  3 Sn 2.12-2.19, 1 Li 2.34
O  0.0031  0.3331  0.6034  1 Zn 2.03, 2 Sn 2.06-2.07, 1 Li 2.13
O  0.1677  0.4968  0.1163  1 Li 1.95, 2 Sn 2.04-2.06
O  0.3389  0.1846  0.8563  1 Zn 2.01, 2 Sn 2.09-2.13, 1 Li 2.21
O  0.5032  0.8323  0.6163  1 Li 1.95, 2 Sn 2.04-2.06
O  0.9977  0.9977  0.8979  2 Li 1.84-2.02, 2 Sn 2.03
O  0.9996  0.1670  0.1155  2 Li 1.96-2.19, 2 Sn 2.04-2.06
O  0.0023  0.0023  0.3979  2 Li 1.84-2.02, 2 Sn 2.03
O  0.1580  0.1580  0.6124  3 Sn 2.10-2.19, 1 Li 2.18
O  0.1507  0.8208  0.8596  1 Zn 2.00, 2 Sn 2.08-2.15, 1 Li 2.19
O  0.6686  0.8497  0.8706  1 Zn 2.04, 3 Sn 2.20-2.26
O  0.1846  0.3389  0.8563  1 Zn 2.01, 2 Sn 2.09-2.13, 1 Li 2.21
O  0.8154  0.6611  0.3563  1 Zn 2.01, 2 Sn 2.09-2.13, 1 Li 2.21
O  0.8309  0.3353  0.1172  1 Li 1.93, 2 Sn 2.04
O  0.0104  0.4911  0.3584  1 Zn 2.00, 2 Sn 2.08-2.15, 1 Li 2.23
O  0.3355  0.5044  0.6099  3 Sn 2.12-2.19, 1 Li 2.34
O  0.4911  0.0104  0.3584  1 Zn 2.00, 2 Sn 2.08-2.15, 1 Li 2.23
O  0.3353  0.8309  0.1172  1 Li 1.93, 2 Sn 2.04
O  0.8493  0.1792  0.3596  1 Zn 2.00, 2 Sn 2.08-2.15, 1 Li 2.19
O  0.6645  0.4956  0.1099  3 Sn 2.12-2.19, 1 Li 2.34
O  0.5044  0.3355  0.6099  3 Sn 2.12-2.19, 1 Li 2.34



(6)
Here is an optimized crystal structure of LiZn4Sn4O8 from the Materials Project. Energies are from PBE.

Energy above the most stable polymorph in this dataset: 51 meV/atom
Spin magnetization: 0.00 μB/f.u.

Cell: 3.3672 9.0960 9.3637 Å, 85.79 79.92 88.94°
Last column: nearest neighbours and their distance in Å.
Sites, in units of the cell vectors:
Li  0.6453  0.5426  0.2657  1 O 1.86
Zn  0.5764  0.0014  0.3384  4 O 2.01-2.17
Zn  0.3835  0.9685  0.7152  4 O 1.98-2.05
Zn  0.2043  0.7885  0.1121  4 O 1.95-2.09
Zn  0.7815  0.2087  0.9013  3 O 1.96
Sn  0.9384  0.2784  0.5598  3 O 2.16-2.25
Sn  0.1537  0.2934  0.1638  3 O 2.08-2.16
Sn  0.8357  0.6524  0.8642  3 O 2.15-2.24
Sn  0.0237  0.7131  0.4788  3 O 2.20-2.26
O  0.4832  0.8501  0.5435  1 Zn 1.98, 2 Sn 2.20-2.21
O  0.2595  0.3097  0.9381  2 Zn 1.96, 1 Sn 2.08
O  0.7172  0.6657  0.0960  1 Li 1.86, 2 Zn 2.03
O  0.4922  0.1750  0.4614  1 Zn 2.01, 2 Sn 2.16
O  0.8693  0.0901  0.7314  3 Zn 1.96-2.03
O  0.6688  0.1493  0.1426  2 Sn 2.14-2.16, 2 Zn 2.17-2.25
O  0.1042  0.8885  0.2926  3 Zn 1.95-2.03
O  0.3135  0.8107  0.8851  2 Zn 2.05-2.09, 2 Sn 2.22-2.24